DFT (GGA+U) results for a relaxed structure of CrMoF6.

Unit cell a=5.6263 b=5.6267 c=5.6434 alpha=118.56 beta=118.43 gamma=90.24
Last column: nearest neighbours and their distance in Å.
Atoms (fractional coordinates):
1 Cr 0.0000 0.0000 0.0000  4 F 2.03-2.07
2 Mo 0.5000 0.5000 0.0000  6 F 1.97-2.03
3 F 0.3398 0.2581 0.5349  1 Mo 1.97
4 F 0.6602 0.7419 0.4651  1 Mo 1.97
5 F 0.8223 0.7375 0.0613  1 Cr 2.03, 1 Mo 2.03
6 F 0.1777 0.2625 0.9387  1 Cr 2.03, 1 Mo 2.03
7 F 0.7463 0.2546 0.0765  1 Mo 2.01, 1 Cr 2.07
8 F 0.2537 0.7454 0.9235  1 Mo 2.01, 1 Cr 2.07

Results
Energy above the lowest structure with this stoichiometry: 117 meV/atom
Magnetic moment: 6.0 μB/cell

DFT (GGA+U) results for a relaxed structure of Li4Co3Cu2Sb3O16.

Unit cell a=6.0137 b=5.9661 c=9.7781 alpha=90.34 beta=91.55 gamma=119.50
Last column: nearest neighbours and their distance in Å.
Atoms (fractional coordinates):
1 Li 0.3574 0.6774 0.8836  4 O 1.99-2.13
2 Li 0.9294 0.9680 0.9866  3 O 1.81-1.94
3 Li 0.9811 0.9856 0.5040  4 O 1.79-1.98
4 Li 0.6480 0.3258 0.3985  4 O 1.96-2.07
5 Co 0.6422 0.8244 0.2168  6 O 2.06-2.13
6 Co 0.8575 0.6714 0.7140  6 O 1.90-2.00
7 Co 0.8578 0.1803 0.7144  6 O 1.87-1.99
8 Cu 0.3496 0.6737 0.5045  5 O 2.05-2.26
9 Cu 0.7023 0.3525 0.9823  4 O 2.00-2.09
10 Sb 0.1492 0.8253 0.2150  6 O 1.97-2.04
11 Sb 0.1489 0.3299 0.2160  6 O 1.99-2.04
12 Sb 0.3634 0.1788 0.7155  6 O 2.03-2.04
13 O 0.1726 0.8438 0.6038  1 Li 1.98, 1 Co 2.00, 1 Sb 2.04, 1 Cu 2.05
14 O 0.0028 0.5059 0.3311  1 Li 1.99, 2 Sb 2.02-2.03
15 O 0.2941 0.6479 0.0975  2 Sb 2.04, 1 Li 2.13, 1 Co 2.13
16 O 0.9942 0.0010 0.3210  1 Li 1.79
17 O 0.0255 0.0107 0.8107  1 Li 1.81, 2 Co 1.97-1.98
18 O 0.1687 0.3170 0.6040  1 Li 1.96, 1 Co 1.99, 1 Sb 2.03, 1 Cu 2.11
19 O 0.4576 0.9633 0.3367  1 Li 1.96, 1 Sb 1.97, 1 Co 2.06
20 O 0.4564 0.5027 0.3408  1 Li 1.98, 1 Sb 1.99, 1 Co 2.10, 1 Cu 2.17
21 O 0.2806 0.1432 0.0999  2 Sb 2.01-2.02, 1 Li 2.11
22 O 0.7030 0.8492 0.6167  1 Li 1.86, 2 Co 1.95-1.96
23 O 0.5614 0.5031 0.8353  1 Co 1.99, 1 Li 2.02, 1 Sb 2.04, 1 Cu 2.07
24 O 0.5611 0.0537 0.8351  1 Co 1.99, 1 Li 2.03, 1 Sb 2.04, 1 Cu 2.09
25 O 0.6892 0.3409 0.6095  2 Co 1.98, 1 Sb 2.03, 1 Li 2.07
26 O 0.8239 0.6696 0.1013  1 Li 1.94, 1 Sb 2.00, 1 Cu 2.01, 1 Co 2.09
27 O 0.9979 0.4943 0.8120  2 Co 1.87-1.90, 1 Li 1.99
28 O 0.8242 0.1608 0.1015  1 Li 1.93, 1 Cu 2.00, 1 Sb 2.00, 1 Co 2.10

Results
Energy above the lowest structure with this stoichiometry: 0 meV/atom
Magnetic moment: 6.0 μB/cell

DFT (GGA+U) results for a relaxed structure of V3OF11.

Unit cell a=5.2950 b=5.4818 c=15.0410 alpha=79.66 beta=89.75 gamma=89.59
Last column: nearest neighbours and their distance in Å.
Atoms (fractional coordinates):
1 V 0.9948 0.9704 0.9931  1 O 1.62, 1 F 1.80
2 V 0.4997 0.1661 0.6666  5 F 1.76-1.97
3 V 0.9999 0.3338 0.3329  5 F 1.77-1.97
4 V 0.4779 0.4455 0.0045  1 O 1.63, 2 F 1.77
5 V 0.9996 0.6660 0.6665  5 F 1.76-1.97
6 V 0.5001 0.8338 0.3329  5 F 1.76-1.97
7 O 0.2950 0.2034 0.0250  1 V 1.63
8 O 0.0921 0.0633 0.8904  1 V 1.62
9 F 0.2006 0.0262 0.3569  2 V 1.97
10 F 0.7015 0.1413 0.3096  2 V 1.97-1.98
11 F 0.4171 0.2088 0.5513  1 V 1.76
12 F 0.0863 0.3769 0.2177  1 V 1.77
13 F 0.5831 0.1253 0.7820  1 V 1.77
14 F 0.9170 0.2921 0.4485  1 V 1.77
15 F 0.5893 0.4734 0.1127  1 V 1.77
16 F 0.2003 0.3585 0.6903  2 V 1.96
17 F 0.2986 0.5272 0.3566  2 V 1.97-1.98
18 F 0.2068 0.6923 0.0266  2 V 1.88-2.03
19 F 0.7772 0.2948 0.9753  2 V 1.87-2.09
20 F 0.7013 0.4733 0.6433  2 V 1.97-1.98
21 F 0.7993 0.6412 0.3093  2 V 1.96
22 F 0.4198 0.5641 0.8890  1 V 1.77
23 F 0.0842 0.7079 0.5512  1 V 1.76
24 F 0.4176 0.8767 0.2176  1 V 1.76
25 F 0.9174 0.6245 0.7822  1 V 1.77
26 F 0.5828 0.7915 0.4484  1 V 1.77
27 F 0.9294 0.9864 0.1114  1 V 1.83
28 F 0.2982 0.8596 0.6901  2 V 1.97-1.98
29 F 0.7139 0.8019 0.9751  1 V 1.80
30 F 0.7993 0.9737 0.6431  2 V 1.96

Results
Energy above the lowest structure with this stoichiometry: 23 meV/atom
Magnetic moment: 0.0 μB/cell